1.
Material: NaC2N3
Method: DFT, PBE-GGA
State: relaxed

E_form   -0.234 eV per atom
Crystal system   monoclinic
Electronic total energy   -45.1 eV/f.u.

Unit cell a=3.6072 b=15.1281 c=7.2862 alpha=90.00 beta=116.51 gamma=90.00
Sites, in units of the cell vectors:
Na  0.1194  0.0875  0.3583
Na  0.1194  0.4125  0.8583
Na  0.8806  0.5875  0.1417
Na  0.8806  0.9125  0.6417
C  0.2760  0.7265  0.5428
C  0.2760  0.7735  0.0428
C  0.3995  0.5832  0.6542
C  0.3995  0.9168  0.1542
C  0.6005  0.0832  0.8458
C  0.6005  0.4168  0.3458
C  0.7240  0.2265  0.9572
C  0.7240  0.2735  0.4572
N  0.2272  0.6416  0.5110
N  0.2272  0.8584  0.0110
N  0.3034  0.6957  0.0581
N  0.3034  0.8043  0.5581
N  0.4537  0.0254  0.7247
N  0.4537  0.4746  0.2247
N  0.5463  0.5254  0.7753
N  0.5463  0.9746  0.2753
N  0.6966  0.1957  0.4419
N  0.6966  0.3043  0.9419
N  0.7728  0.1416  0.9890
N  0.7728  0.3584  0.4890

2.
Material: Na5C3N6
Method: DFT, PBE-GGA
State: relaxed

E_form   -0.499 eV per atom
Crystal system   cubic
Electronic total energy   -89.1 eV/f.u.

Unit cell a=6.2785 b=6.2785 c=6.2785 alpha=109.47 beta=109.47 gamma=109.47
Sites, in units of the cell vectors:
Na  0.0000  0.0000  0.0000
Na  0.0000  0.0000  0.5000
Na  0.0000  0.5000  0.0000
Na  0.5000  0.0000  0.0000
Na  0.5000  0.5000  0.5000
C  0.0000  0.5000  0.5000
C  0.5000  0.0000  0.5000
C  0.5000  0.5000  0.0000
N  0.0000  0.3291  0.3291
N  0.0000  0.6709  0.6709
N  0.3291  0.0000  0.3291
N  0.3291  0.3291  0.0000
N  0.6709  0.0000  0.6709
N  0.6709  0.6709  0.0000

3.
Material: NaC2N3
Method: DFT, PBE-GGA
State: relaxed

E_form   0.175 eV per atom
Crystal system   monoclinic
Electronic total energy   -42.7 eV/f.u.

Unit cell a=4.2921 b=18.8527 c=5.7753 alpha=90.00 beta=130.83 gamma=90.00
Sites, in units of the cell vectors:
Na  0.0666  0.1730  0.0241
Na  0.0666  0.3270  0.5241
Na  0.9334  0.6730  0.4759
Na  0.9334  0.8270  0.9759
C  0.0014  0.5061  0.8779
C  0.0014  0.9939  0.3779
C  0.1937  0.1666  0.5058
C  0.1937  0.3334  0.0058
C  0.8063  0.6666  0.9942
C  0.8063  0.8334  0.4942
C  0.9986  0.0061  0.6221
C  0.9986  0.4939  0.1221
N  0.2757  0.1879  0.7324
N  0.2757  0.3121  0.2324
N  0.3212  0.5121  0.8867
N  0.3212  0.9879  0.3867
N  0.3528  0.0212  0.9288
N  0.3528  0.4788  0.4288
N  0.6472  0.5212  0.5712
N  0.6472  0.9788  0.0712
N  0.6788  0.0121  0.6133
N  0.6788  0.4879  0.1133
N  0.7243  0.6879  0.7676
N  0.7243  0.8121  0.2676

4.
Material: NaC4N3
Method: DFT, PBE-GGA
State: relaxed

E_form   0.002 eV per atom
Crystal system   triclinic
Electronic total energy   -62.1 eV/f.u.

Unit cell a=3.8167 b=7.8061 c=9.3027 alpha=74.61 beta=88.79 gamma=80.85
Sites, in units of the cell vectors:
Na  0.1805  0.1562  0.3414
Na  0.8195  0.8438  0.6586
C  0.2363  0.2391  0.9471
C  0.2510  0.1826  0.7015
C  0.2847  0.2963  0.7921
C  0.3557  0.4707  0.7285
C  0.6443  0.5293  0.2715
C  0.7153  0.7037  0.2079
C  0.7490  0.8174  0.2985
C  0.7637  0.7609  0.0529
N  0.1955  0.1950  0.0760
N  0.2237  0.0870  0.6250
N  0.4122  0.6182  0.6775
N  0.5878  0.3818  0.3225
N  0.7763  0.9130  0.3750
N  0.8045  0.8050  0.9240

5.
Material: NaCNO
Method: DFT, PBE-GGA
State: relaxed

E_form   -0.866 eV per atom
Crystal system   monoclinic
Electronic total energy   -26.6 eV/f.u.

Unit cell a=6.4673 b=6.4673 c=6.0156 alpha=117.57 beta=117.57 gamma=94.37
Sites, in units of the cell vectors:
Na  0.0000  0.0000  0.0000
C  0.0594  0.0594  0.5794
N  0.1743  0.1743  0.8503
O  0.9421  0.9421  0.3015

6.
Material: NaCNO
Method: DFT, PBE-GGA
State: relaxed

E_form   -1.121 eV per atom
Crystal system   trigonal
Maximum piezoelectric response   0.23 C/m²
Electronic total energy   -27.6 eV/f.u.

Unit cell a=5.4908 b=5.4908 c=5.4908 alpha=39.08 beta=39.08 gamma=39.08
Sites, in units of the cell vectors:
Na  0.0000  0.0000  0.0000
C  0.5045  0.5045  0.5045
N  0.5830  0.5830  0.5830
O  0.4235  0.4235  0.4235

7.
Material: NbC6N9
Method: DFT, PBE-GGA
State: relaxed

E_form   0.086 eV per atom
Crystal system   orthorhombic
Electronic total energy   -135.9 eV/f.u.

Unit cell a=7.0129 b=7.0129 c=12.3558 alpha=90.00 beta=90.00 gamma=117.45
Sites, in units of the cell vectors:
Nb  0.2257  0.7743  0.7500
Nb  0.7743  0.2257  0.2500
C  0.0593  0.2545  0.7500
C  0.1963  0.4923  0.0976
C  0.1963  0.4923  0.4024
C  0.2545  0.0593  0.2500
C  0.4923  0.1963  0.5976
C  0.4923  0.1963  0.9024
C  0.5077  0.8037  0.0976
C  0.5077  0.8037  0.4024
C  0.7455  0.9407  0.7500
C  0.8037  0.5077  0.5976
C  0.8037  0.5077  0.9024
C  0.9407  0.7455  0.2500
N  0.0268  0.3657  0.1309
N  0.0268  0.3657  0.3691
N  0.0472  0.9528  0.2500
N  0.1689  0.4427  0.7500
N  0.3657  0.0268  0.6309
N  0.3657  0.0268  0.8691
N  0.3786  0.6214  0.0563
N  0.3786  0.6214  0.4437
N  0.4427  0.1689  0.2500
N  0.5573  0.8311  0.7500
N  0.6214  0.3786  0.5563
N  0.6214  0.3786  0.9437
N  0.6343  0.9732  0.1309
N  0.6343  0.9732  0.3691
N  0.8311  0.5573  0.2500
N  0.9528  0.0472  0.7500
N  0.9732  0.6343  0.6309
N  0.9732  0.6343  0.8691